(1)
This record from the Materials Project describes an optimized crystal structure of NaInC4O10. The functional is PBE.

Geometry as POSCAR:
```
NaInC4O10
1.0
2.6765 5.6344 -5.1581
4.0275 -6.9685 0.8328
-7.1624 -5.2721 -9.4775
Na In C O
3 3 12 30
Direct
0.9999 0.0000 0.0000 Na
0.0000 0.0001 0.3332 Na
0.0001 0.0001 0.6668 Na
0.4999 0.5000 0.0000 In
0.0000 0.5000 0.3334 In
0.5000 0.0000 0.6666 In
0.6932 0.3069 0.4999 C
0.6137 0.3070 0.8334 C
0.3068 0.6931 0.5000 C
0.3863 0.6930 0.8334 C
0.6931 0.3863 0.1666 C
0.3069 0.6137 0.1666 C
0.8043 0.1956 0.5000 C
0.3912 0.1957 0.8334 C
0.1957 0.8045 0.5000 C
0.6088 0.8043 0.8334 C
0.8044 0.6088 0.1666 C
0.1956 0.3912 0.1666 C
0.6913 0.7753 0.9077 O
0.0838 0.3085 0.2410 O
0.3086 0.2247 0.9076 O
0.9161 0.2247 0.4257 O
0.2247 0.9161 0.5743 O
0.9162 0.6915 0.2410 O
0.7753 0.6914 0.0924 O
0.0839 0.7753 0.4256 O
0.7753 0.0839 0.5744 O
0.2247 0.3086 0.0924 O
0.3086 0.0838 0.7590 O
0.6915 0.9162 0.7590 O
0.7968 0.7967 0.5000 O
0.0001 0.2030 0.8333 O
0.2032 0.2031 0.5000 O
0.2029 0.0001 0.1667 O
0.0001 0.7969 0.8333 O
0.7972 0.9999 0.1666 O
0.6943 0.2518 0.7698 O
0.5577 0.3058 0.1032 O
0.3058 0.7482 0.7698 O
0.4424 0.7481 0.5635 O
0.7481 0.4423 0.4364 O
0.4423 0.6942 0.1032 O
0.2518 0.6943 0.2302 O
0.5576 0.2518 0.5636 O
0.2519 0.5577 0.4365 O
0.7482 0.3057 0.2302 O
0.3058 0.5577 0.8968 O
0.6942 0.4423 0.8969 O
```

Properties
The value obtained for the theoretical density is 2338 kg/m³. As for the formation enthalpy at 0 K: -1242.4 meV/atom. As for the total DFT energy (no corrections): -103.477 eV/f.u.

=====

(2)
This record from the Materials Project describes an optimized crystal structure of HfIr. The functional is PBE.

Geometry as POSCAR:
```
HfIr
1.0
-1.0533 0.9555 -2.7162
-3.3420 -3.2500 0.1526
-3.0064 3.1991 2.2912
Hf Ir
2 2
Direct
0.5000 0.2500 0.2687 Hf
0.5000 0.7500 0.7313 Hf
0.0000 0.7500 0.2061 Ir
0.0000 0.2500 0.7939 Ir
```

Properties
The value obtained for the theoretical density is 17385 kg/m³. As for the formation enthalpy at 0 K: -928.9 meV/atom. As for the total DFT energy (no corrections): -20.653 eV/f.u.

=====

(3)
This record from the Materials Project describes an optimized crystal structure of Na2U2O7. The functional is PBE.

Geometry as POSCAR:
```
Na2U2O7
1.0
3.9433 6.5904 0.0000
-3.9433 6.5904 0.0000
0.0000 2.4180 6.4823
Na U O
4 4 14
Direct
0.0000 0.0000 0.0000 Na
0.5000 0.5000 0.0000 Na
0.7414 0.2586 0.5000 Na
0.2586 0.7414 0.5000 Na
0.0000 0.5000 0.0000 U
0.5000 0.0000 0.0000 U
0.2435 0.2435 0.5391 U
0.7565 0.7565 0.4609 U
0.2289 0.2289 0.8836 O
0.7711 0.7711 0.1164 O
0.9611 0.5583 0.6797 O
0.5583 0.9611 0.6797 O
0.0389 0.4417 0.3203 O
0.4417 0.0389 0.3203 O
0.1785 0.6270 0.9040 O
0.6270 0.1785 0.9040 O
0.8215 0.3730 0.0960 O
0.3730 0.8215 0.0960 O
0.9090 0.9090 0.3626 O
0.0910 0.0910 0.6374 O
0.3951 0.3951 0.4407 O
0.6049 0.6049 0.5593 O
```

Properties
The value obtained for the theoretical density is 6250 kg/m³. The calculation puts the energy above the most stable polymorph in this dataset at 0 kJ/mol of formula units. As for the formation enthalpy at 0 K: -3277.7 meV/atom. As for the total DFT energy (no corrections): -91.109 eV/f.u.

=====

(4)
This record from the Materials Project describes an optimized crystal structure of Sm2Ga3Co. The functional is PBE.

Geometry as POSCAR:
```
Sm2Ga3Co
1.0
-1.0060 3.3593 -1.5570
0.8034 -1.5747 -3.9166
-7.1813 -2.3882 -0.5129
Sm Ga Co
2 3 1
Direct
0.0000 0.5000 0.0221 Sm
0.0000 0.0000 0.4864 Sm
0.5000 0.0000 0.8352 Ga
0.5000 0.0000 0.1751 Ga
0.5000 0.5000 0.6538 Ga
0.5000 0.5000 0.3275 Co
```

Properties
The value obtained for the theoretical density is 7553 kg/m³. As for the formation enthalpy at 0 K: -529.2 meV/atom. As for the total DFT energy (no corrections): -28.805 eV/f.u.

=====

(5)
This record from the Materials Project describes an optimized crystal structure of NaLa2Se3. The functional is PBE.

Geometry as POSCAR:
```
NaLa2Se3
1.0
-2.6104 0.1077 -3.4542
-1.6871 -0.1995 3.9839
-0.1697 10.5939 0.4586
Na La Se
1 2 3
Direct
0.0000 0.0000 0.0000 Na
0.3333 0.6667 0.6709 La
0.6667 0.3333 0.3291 La
0.3333 0.6667 0.1705 Se
0.6667 0.3333 0.8295 Se
0.0000 0.0000 0.5000 Se
```

Properties
The value obtained for the theoretical density is 5183 kg/m³. As for the formation enthalpy at 0 K: -2053.8 meV/atom. As for the total DFT energy (no corrections): -32.589 eV/f.u.

=====

(6)
This record from the Materials Project describes an optimized crystal structure of Ho2FeSi2. The functional is PBE.

Geometry as POSCAR:
```
Ho2FeSi2
1.0
2.0640 5.2128 0.0000
-2.0640 5.2128 0.0000
0.0000 4.8333 8.6699
Ho Fe Si
4 2 4
Direct
0.9990 0.9990 0.3285 Ho
0.0010 0.0010 0.6715 Ho
0.8118 0.8118 0.1091 Ho
0.1882 0.1882 0.8909 Ho
0.7280 0.7280 0.6238 Fe
0.2720 0.2720 0.3762 Fe
0.6540 0.6540 0.4357 Si
0.3460 0.3460 0.5643 Si
0.5018 0.5018 0.1258 Si
0.4982 0.4982 0.8742 Si
```

Properties
The value obtained for the theoretical density is 7866 kg/m³. As for the formation enthalpy at 0 K: -681.8 meV/atom. As for the total DFT energy (no corrections): -32.036 eV/f.u.

=====

(7)
This record from the Materials Project describes an optimized crystal structure of EuIn4Au2. The functional is PBE.

Geometry as POSCAR:
```
EuIn4Au2
1.0
4.7176 0.0000 0.0000
0.0000 7.5406 0.0000
0.0000 0.0000 18.8999
Eu In Au
4 16 8
Direct
0.7500 0.9732 0.8582 Eu
0.7500 0.5268 0.3582 Eu
0.2500 0.0268 0.1418 Eu
0.2500 0.4732 0.6418 Eu
0.2500 0.0090 0.5688 In
0.2500 0.4910 0.0688 In
0.7500 0.9910 0.4312 In
0.7500 0.5090 0.9312 In
0.2500 0.1474 0.9647 In
0.2500 0.3526 0.4647 In
0.7500 0.8526 0.0353 In
0.7500 0.6474 0.5353 In
0.2500 0.2663 0.8113 In
0.2500 0.2337 0.3113 In
0.7500 0.7337 0.1887 In
0.7500 0.7663 0.6887 In
0.2500 0.6717 0.8138 In
0.2500 0.8283 0.3138 In
0.7500 0.3283 0.1862 In
0.7500 0.1717 0.6862 In
0.2500 0.9665 0.7189 Au
0.2500 0.5335 0.2189 Au
0.7500 0.0335 0.2811 Au
0.7500 0.4665 0.7811 Au
0.2500 0.7542 0.9601 Au
0.2500 0.7458 0.4601 Au
0.7500 0.2458 0.0399 Au
0.7500 0.2542 0.5399 Au
```

Properties
The value obtained for the theoretical density is 9930 kg/m³. As for the formation enthalpy at 0 K: -418.7 meV/atom. As for the total DFT energy (no corrections): -30.742 eV/f.u.

=====

(8)
This record from the Materials Project describes an optimized crystal structure of Sb2Pd5. The functional is PBE.

Geometry as POSCAR:
```
Sb2Pd5
1.0
-3.1222 4.1018 5.7719
-3.0510 0.3716 -7.1022
-8.5049 -10.8185 3.0876
Sb Pd
12 30
Direct
0.6667 0.3333 0.2918 Sb
0.3333 0.6667 0.7918 Sb
0.3326 0.3326 0.0171 Sb
0.0000 0.6674 0.0171 Sb
0.0000 0.0000 0.7424 Sb
0.0000 0.0000 0.2424 Sb
0.6674 0.6674 0.5171 Sb
0.3326 0.0000 0.5171 Sb
0.0000 0.3326 0.5171 Sb
0.6667 0.3333 0.7918 Sb
0.6674 0.0000 0.0171 Sb
0.3333 0.6667 0.2918 Sb
0.6278 0.6278 0.9225 Pd
0.6281 0.0000 0.2130 Pd
0.3333 0.6667 0.0896 Pd
0.7371 0.7371 0.1144 Pd
0.3083 0.0000 0.3221 Pd
0.3083 0.3083 0.8221 Pd
0.6667 0.3333 0.0896 Pd
0.2629 0.0000 0.1144 Pd
0.2629 0.2629 0.6144 Pd
0.3722 0.3722 0.4225 Pd
0.0000 0.3083 0.3221 Pd
0.0000 0.3722 0.9225 Pd
0.6917 0.6917 0.3221 Pd
0.3719 0.0000 0.7130 Pd
0.0000 0.6278 0.4225 Pd
0.6667 0.3333 0.5896 Pd
0.6281 0.6281 0.7130 Pd
0.0000 0.0000 0.9455 Pd
0.7371 0.0000 0.6144 Pd
0.0000 0.7371 0.6144 Pd
0.3333 0.6667 0.5896 Pd
0.6917 0.0000 0.8221 Pd
0.6278 0.0000 0.4225 Pd
0.0000 0.0000 0.4455 Pd
0.3719 0.3719 0.2130 Pd
0.3722 0.0000 0.9225 Pd
0.0000 0.6281 0.2130 Pd
0.0000 0.3719 0.7130 Pd
0.0000 0.6917 0.8221 Pd
0.0000 0.2629 0.1144 Pd
```

Properties
The value obtained for the theoretical density is 10565 kg/m³. As for the formation enthalpy at 0 K: -454.9 meV/atom. As for the total DFT energy (no corrections): -37.341 eV/f.u.